a) Below is a relaxed VPO5 crystal, with properties calculated at the r2SCAN level.

a b c (Å): 6.998 7.274 7.291
angles (deg): 91.43 90.40 116.44
Sites, in units of the cell vectors:
V: 0.703 0.461 0.270
V: 0.205 0.954 0.229
V: 0.795 0.046 0.771
V: 0.297 0.539 0.730
P: 0.473 0.239 0.898
P: 0.021 0.757 0.604
P: 0.979 0.243 0.396
P: 0.527 0.761 0.102
O: 0.283 0.107 0.014
O: 0.401 0.338 0.749
O: 0.495 0.271 0.342
O: 0.650 0.406 0.018
O: 0.834 0.589 0.495
O: 0.561 0.103 0.804
O: 0.948 0.898 0.706
O: 0.012 0.744 0.155
O: 0.798 0.115 0.525
O: 0.105 0.658 0.744
O: 0.895 0.342 0.256
O: 0.202 0.885 0.475
O: 0.988 0.256 0.845
O: 0.052 0.102 0.294
O: 0.717 0.893 0.986
O: 0.166 0.411 0.505
O: 0.350 0.594 0.982
O: 0.505 0.729 0.658
O: 0.599 0.662 0.251
O: 0.439 0.897 0.196


b) Below is a relaxed VPO5 crystal, with properties calculated at the r2SCAN level.

a b c (Å): 6.025 6.025 4.311
angles (deg): 90.00 90.00 90.00
Sites, in units of the cell vectors:
V: 0.000 0.500 0.208
V: 0.500 0.000 0.792
P: 0.500 0.500 0.500
P: 0.000 0.000 0.500
O: 0.450 0.300 0.706
O: 0.700 0.450 0.294
O: 0.000 0.500 0.837
O: 0.300 0.550 0.294
O: 0.550 0.700 0.706
O: 0.950 0.800 0.294
O: 0.200 0.950 0.706
O: 0.500 0.000 0.163
O: 0.800 0.050 0.706
O: 0.050 0.200 0.294


The data favor b); the next most stable structure lies 0.8 kJ/mol of atoms above it.


a) Below is a relaxed Ho3Er crystal, with properties calculated at the r2SCAN level.

a b c (Å): 7.212 7.212 5.540
angles (deg): 90.00 90.00 120.00
Sites, in units of the cell vectors:
Ho: 0.167 0.334 0.250
Ho: 0.666 0.833 0.250
Ho: 0.167 0.833 0.250
Ho: 0.833 0.666 0.750
Ho: 0.334 0.167 0.750
Ho: 0.833 0.167 0.750
Er: 0.333 0.667 0.750
Er: 0.667 0.333 0.250


b) Below is a relaxed Ho3Er crystal, with properties calculated at the r2SCAN level.

a b c (Å): 6.099 6.099 6.099
angles (deg): 131.76 131.76 70.61
Sites, in units of the cell vectors:
Ho: 0.750 0.250 0.500
Ho: 0.250 0.750 0.500
Ho: 0.500 0.500 0.000
Er: 0.000 0.000 0.000


The data favor a); the next most stable structure lies 4.3 kJ/mol of atoms above it.


a) Below is a relaxed LiCuF3 crystal, with properties calculated at the r2SCAN level.

a b c (Å): 9.656 3.206 7.504
angles (deg): 74.44 90.00 90.00
Sites, in units of the cell vectors:
Li: 0.809 0.997 0.515
Li: 0.309 0.003 0.985
Li: 0.691 0.997 0.015
Li: 0.191 0.003 0.485
Cu: 0.494 0.685 0.688
Cu: 0.994 0.315 0.812
Cu: 0.006 0.685 0.188
Cu: 0.506 0.315 0.312
F: 0.092 0.829 0.703
F: 0.643 0.430 0.130
F: 0.117 0.155 0.027
F: 0.617 0.845 0.473
F: 0.592 0.171 0.797
F: 0.857 0.430 0.630
F: 0.143 0.570 0.370
F: 0.408 0.829 0.203
F: 0.383 0.155 0.527
F: 0.883 0.845 0.973
F: 0.357 0.570 0.870
F: 0.908 0.171 0.297


b) Below is a relaxed LiCuF3 crystal, with properties calculated at the r2SCAN level.

a b c (Å): 5.022 5.202 7.843
angles (deg): 89.89 86.12 89.73
Sites, in units of the cell vectors:
Li: 0.996 0.047 0.717
Li: 0.500 0.546 0.784
Li: 0.500 0.454 0.216
Li: 0.004 0.953 0.283
Cu: 0.000 0.500 0.500
Cu: 0.000 0.500 0.000
Cu: 0.500 0.000 0.500
Cu: 0.500 0.000 0.000
F: 0.795 0.838 0.882
F: 0.832 0.824 0.538
F: 0.841 0.626 0.209
F: 0.706 0.338 0.618
F: 0.668 0.323 0.963
F: 0.659 0.127 0.292
F: 0.341 0.873 0.708
F: 0.332 0.677 0.037
F: 0.294 0.662 0.382
F: 0.159 0.374 0.791
F: 0.168 0.176 0.462
F: 0.205 0.162 0.118


The data favor b); the next most stable structure lies 1.4 kJ/mol of atoms above it.